A geometry-optimized NaMg30TiO32 structure. Source: the Materials Project database, functional PBE.

## Properties
The calculation puts the energy with MP2020 corrections at -6.388 eV/atom. Its crystal system is tetragonal. As for the total energy: -6.04 eV per atom. The calculation puts the energy relative to the lowest polymorph listed for this composition at 0 meV per atom. The value obtained for the total magnetization is 1.0 μB/f.u. For the formation energy, the calculation gives -3.020 eV/atom.

Cell lengths 8.5509, 8.5509, 8.5277 Å; angles 90.00, 90.00, 90.00 degrees
Last column: nearest neighbours and their distance in Å.
Space group P4/mmm (No. 123)
One atom of each set of equivalent atoms:
1 Na 0.0000 0.0000 0.0000 [1 per cell]  6 O 2.24-2.29
2 Mg 0.0000 0.2531 0.2460 [8 per cell]  6 O 2.10-2.17
3 Mg 0.0000 0.5000 0.0000 [2 per cell]  6 O 2.03-2.16
4 Mg 0.0000 0.5000 0.5000 [2 per cell]  6 O 2.10-2.14
5 Mg 0.2491 0.2491 0.0000 [4 per cell]  6 O 2.13-2.15
6 Mg 0.2502 0.5000 0.2490 [8 per cell]  6 O 2.12-2.15
7 Mg 0.2511 0.2511 0.5000 [4 per cell]  6 O 2.13-2.15
8 Mg 0.5000 0.5000 0.0000 [1 per cell]  6 O 2.12-2.14
9 Mg 0.5000 0.5000 0.5000 [1 per cell]  6 O 2.12-2.14
10 Ti 0.0000 0.0000 0.5000 [1 per cell]  6 O 1.97-2.14
11 O 0.0000 0.0000 0.2688 [2 per cell]  1 Ti 1.97, 4 Mg 2.17
12 O 0.0000 0.2503 0.5000 [4 per cell]  5 Mg 2.14-2.17, 1 Ti 2.14
13 O 0.0000 0.2624 0.0000 [4 per cell]  5 Mg 2.03-2.13, 1 Na 2.24
14 O 0.0000 0.5000 0.2532 [4 per cell]  6 Mg 2.10-2.16
15 O 0.2491 0.2491 0.2505 [8 per cell]  6 Mg 2.13-2.15
16 O 0.2500 0.5000 0.5000 [4 per cell]  6 Mg 2.13-2.14
17 O 0.2519 0.5000 0.0000 [4 per cell]  6 Mg 2.12-2.15
18 O 0.5000 0.5000 0.2511 [2 per cell]  6 Mg 2.12-2.14



A geometry-optimized BaHg6 structure. Source: the Materials Project database, functional PBE.

## Properties
Its crystal system is orthorhombic. As for the total energy: -0.81 eV per atom. For the formation energy, the calculation gives -0.278 eV/atom.

Cell lengths 13.9823, 5.6408, 10.5057 Å; angles 90.00, 90.00, 90.00 degrees
Last column: nearest neighbours and their distance in Å.
Space group Pnma (No. 62)
One atom of each set of equivalent atoms:
1 Ba 0.1815 0.2500 0.1444 [4 per cell]  16 Hg 3.63-3.96
2 Hg 0.0038 0.7500 0.1121 [4 per cell]  3 Hg 2.97-2.99
3 Hg 0.0410 0.7500 0.6500 [4 per cell]  3 Hg 3.02-3.13
4 Hg 0.0966 0.7500 0.3688 [4 per cell]  5 Hg 2.99-3.26
5 Hg 0.1451 0.7500 0.9016 [4 per cell]  5 Hg 2.97-3.14
6 Hg 0.1478 0.2500 0.5097 [4 per cell]  5 Hg 3.00-3.26
7 Hg 0.1955 0.2500 0.7876 [4 per cell]  5 Hg 2.98-3.14



A geometry-optimized La6CdSi2S14 structure. Source: the Materials Project database, functional PBE.

## Properties
The calculation puts the energy with MP2020 corrections at -6.323 eV/atom. Its crystal system is trigonal. As for the total energy: -6.02 eV per atom. The value obtained for the total magnetization is 0.0 μB/f.u. For the formation energy, the calculation gives -2.006 eV/atom.

Cell lengths 10.4423, 10.4423, 5.7754 Å; angles 90.00, 90.00, 120.00 degrees
Last column: nearest neighbours and their distance in Å.
Space group P3 (No. 143)
One atom of each set of equivalent atoms:
1 La 0.0240 0.5682 0.0000 [3 per cell]  8 S 2.92-3.13
2 La 0.3092 0.0982 0.5018 [3 per cell]  8 S 2.90-3.13
3 Cd 0.6667 0.3333 0.2605 [1 per cell]  6 S 2.71-2.72
4 Si 0.0000 0.0000 0.9157 [1 per cell]  4 S 2.11-2.15
5 Si 0.3333 0.6667 0.4137 [1 per cell]  4 S 2.11-2.15
6 S 0.0000 0.0000 0.2807 [1 per cell]  1 Si 2.11
7 S 0.0744 0.8581 0.7738 [3 per cell]  1 Si 2.15
8 S 0.1917 0.4502 0.2725 [3 per cell]  1 Si 2.15
9 S 0.3333 0.6667 0.7793 [1 per cell]  1 Si 2.11
10 S 0.4145 0.1670 0.0167 [3 per cell]  1 Cd 2.71, 3 La 2.92-2.96
11 S 0.4986 0.4173 0.5073 [3 per cell]  1 Cd 2.72, 3 La 2.90-3.00



A geometry-optimized CoCu2GeSe4 structure. Source: the Materials Project database, functional PBE.

## Properties
The calculation puts the energy with MP2020 corrections at -4.669 eV/atom. Its crystal system is orthorhombic. As for the total energy: -4.43 eV per atom. The value obtained for the total magnetization is 2.9 μB/f.u. For the formation energy, the calculation gives -0.429 eV/atom.

Cell lengths 7.8536, 6.7978, 6.5205 Å; angles 90.00, 90.00, 90.00 degrees
Last column: nearest neighbours and their distance in Å.
Space group Pmn2_1 (No. 31)
One atom of each set of equivalent atoms:
1 Co 0.0000 0.1609 0.0000 [2 per cell]  4 Se 2.36-2.39
2 Cu 0.2493 0.6743 0.0071 [4 per cell]  4 Se 2.40-2.43
3 Ge 0.0000 0.8313 0.4970 [2 per cell]  4 Se 2.44-2.47
4 Se 0.0000 0.1678 0.3661 [2 per cell]  1 Co 2.39, 2 Cu 2.42, 1 Ge 2.44
5 Se 0.0000 0.8354 0.8752 [2 per cell]  1 Co 2.36, 2 Cu 2.40, 1 Ge 2.47
6 Se 0.2410 0.3392 0.8767 [4 per cell]  1 Co 2.39, 2 Cu 2.41-2.43, 1 Ge 2.47